First-principles (PBE-GGA) data for Na3LaHf3P6O24 after structural relaxation, as listed in the Materials Project.

Output
The calculation puts the energy at -0.5784 Ry/atom.

a b c (Å): 9.050 9.066 23.294
angles (deg): 89.83 90.16 120.35
Fractional positions:
1 O 0.514 0.875 0.364
2 O 0.848 0.305 0.528
3 O 0.835 0.019 0.086
4 O 0.126 0.489 0.863
5 O 0.018 0.805 0.424
6 O 0.362 0.873 0.862
7 O 0.027 0.829 0.697
8 Na 0.359 0.352 0.247
9 O 0.983 0.818 0.085
10 O 0.690 0.144 0.754
11 O 0.794 0.816 0.195
12 P 0.692 0.703 0.248
13 O 0.818 0.997 0.807
14 O 0.363 0.489 0.361
15 P 0.012 0.727 0.753
16 O 0.185 0.476 0.255
17 Hf 0.003 0.004 0.647
18 O 0.804 0.822 0.909
19 O 0.340 0.493 0.469
20 O 0.018 0.196 0.910
21 O 0.978 0.164 0.587
22 P 0.292 0.992 0.248
23 O 0.519 0.857 0.472
24 O 0.218 0.022 0.303
25 O 0.183 0.217 0.420
26 O 0.461 0.155 0.531
27 Hf 0.666 0.334 0.982
28 O 0.925 0.548 0.135
29 O 0.000 0.822 0.806
30 Na 0.332 0.679 0.165
31 P 0.041 0.651 0.421
32 O 0.861 0.334 0.247
33 O 0.846 0.552 0.752
34 P 0.037 0.376 0.916
35 O 0.837 0.814 0.589
36 O 0.517 0.699 0.253
37 O 0.510 0.373 0.424
38 O 0.462 0.091 0.637
39 Hf 0.334 0.665 0.014
40 O 0.310 0.846 0.968
41 P 0.279 0.293 0.753
42 O 0.462 0.324 0.752
43 O 0.185 0.021 0.587
44 La 0.995 0.982 0.356
45 O 0.520 0.666 0.572
46 La 0.679 0.334 0.174
47 Hf 0.997 0.997 0.147
48 P 0.349 0.391 0.418
49 O 0.693 0.158 0.031
50 O 0.026 0.198 0.201
51 O 0.300 0.825 0.254
52 O 0.452 0.372 0.139
53 O 0.173 0.707 0.758
54 O 0.859 0.357 0.924
55 P 0.968 0.329 0.580
56 Na 0.000 0.988 0.503
57 Hf 0.004 0.003 0.858
58 P 0.360 0.030 0.581
59 P 0.668 0.027 0.079
60 O 0.183 0.166 0.087
61 O 0.498 0.140 0.924
62 O 0.514 0.638 0.860
63 O 0.634 0.541 0.641
64 O 0.534 0.819 0.758
65 O 0.186 0.186 0.806
66 O 0.152 0.461 0.968
67 Hf 0.327 0.667 0.816
68 O 0.152 0.479 0.570
69 Hf 0.660 0.334 0.484
70 O 0.799 0.972 0.698
71 Hf 0.339 0.669 0.520
72 Na 0.668 0.334 0.329
73 O 0.335 0.483 0.066
74 O 0.178 0.980 0.910
75 P 0.976 0.643 0.079
76 O 0.328 0.849 0.570
77 O 0.994 0.211 0.310
78 O 0.845 0.537 0.030
79 P 0.361 0.332 0.082
80 O 0.470 0.150 0.242
81 La 0.668 0.322 0.685
82 Na 0.633 0.628 0.750
83 Na 0.000 0.000 0.003
84 O 0.533 0.689 0.966
85 O 0.178 0.204 0.698
86 O 0.148 0.655 0.472
87 O 0.154 0.672 0.064
88 P 0.010 0.301 0.253
89 O 0.628 0.144 0.424
90 Na 0.319 0.667 0.666
91 O 0.797 0.997 0.421
92 P 0.712 0.988 0.754
93 O 0.651 0.518 0.243
94 Hf 0.337 0.676 0.314
95 O 0.519 0.847 0.065
96 P 0.614 0.966 0.420
97 O 0.903 0.369 0.634
98 O 0.692 0.533 0.535
99 P 0.338 0.960 0.916
100 O 0.129 0.638 0.365
101 O 0.640 0.501 0.924
102 O 0.469 0.309 0.034
103 O 0.863 0.482 0.424
104 O 0.790 0.775 0.303
105 O 0.295 0.473 0.757
106 P 0.671 0.637 0.584
107 O 0.622 0.078 0.136
108 P 0.623 0.662 0.915
109 O 0.176 0.975 0.195
110 Na 0.667 0.320 0.836
111 Na 0.970 0.297 0.416

=====

First-principles (PBE-GGA) data for NaLaHfP2SO12 after structural relaxation, as listed in the Materials Project.

Output
The calculation puts the energy at -0.5535 Ry/atom.

a b c (Å): 9.228 9.231 23.794
angles (deg): 89.52 90.00 119.99
Fractional positions:
1 O 0.328 0.868 0.863
2 O 0.204 0.217 0.089
3 O 0.540 0.868 0.363
4 O 0.206 0.171 0.803
5 O 0.163 0.702 0.470
6 O 0.296 0.453 0.468
7 O 0.337 0.457 0.366
8 O 0.963 0.787 0.801
9 Na 0.974 0.985 0.497
10 P 0.311 0.949 0.916
11 O 0.446 0.325 0.425
12 O 0.298 0.837 0.970
13 La 0.344 0.671 0.811
14 P 0.642 0.694 0.918
15 Na 0.344 0.652 0.663
16 O 0.717 0.531 0.247
17 P 0.309 0.027 0.251
18 O 0.147 0.197 0.414
19 O 0.157 0.453 0.968
20 O 0.383 0.529 0.078
21 Hf 0.669 0.338 0.685
22 O 0.661 0.534 0.530
23 P 0.305 0.282 0.750
24 O 0.539 0.837 0.470
25 O 0.481 0.864 0.080
26 O 0.665 0.126 0.421
27 O 0.998 0.793 0.087
28 O 0.994 0.201 0.197
29 P 0.638 0.949 0.416
30 O 0.787 0.790 0.200
31 Hf 0.668 0.338 0.185
32 Na 0.641 0.318 0.830
33 O 0.113 0.658 0.758
34 O 0.479 0.626 0.578
35 O 0.545 0.658 0.258
36 O 0.128 0.460 0.254
37 P 0.052 0.694 0.418
38 O 0.716 0.195 0.745
39 O 0.384 0.864 0.580
40 O 0.050 0.197 0.914
41 O 0.120 0.457 0.866
42 La 0.011 0.004 0.145
43 O 0.540 0.663 0.865
44 O 0.812 0.293 0.245
45 P 0.385 0.361 0.084
46 O 0.457 0.330 0.031
47 La 0.678 0.338 0.478
48 La 0.327 0.671 0.311
49 Hf 0.003 0.004 0.351
50 O 0.014 0.217 0.589
51 P 0.719 0.027 0.751
52 P 0.975 0.361 0.584
53 S 0.643 0.028 0.085
54 La 0.660 0.338 0.978
55 O 0.814 0.531 0.747
56 O 0.480 0.293 0.745
57 O 0.680 0.551 0.922
58 Hf 0.002 0.004 0.851
59 O 0.813 0.862 0.911
60 O 0.630 0.120 0.135
61 O 0.206 0.036 0.303
62 O 0.873 0.369 0.636
63 O 0.537 0.884 0.756
64 O 0.146 0.960 0.911
65 S 0.385 0.028 0.585
66 O 0.873 0.330 0.531
67 O 0.146 0.529 0.578
68 S 0.310 0.362 0.418
69 O 0.004 0.790 0.700
70 P 0.971 0.615 0.083
71 O 0.830 0.036 0.803
72 S 0.718 0.695 0.251
73 S 0.977 0.695 0.751
74 O 0.207 0.201 0.697
75 Hf 0.336 0.671 0.018
76 O 0.670 0.124 0.033
77 O 0.124 0.663 0.365
78 O 0.049 0.862 0.411
79 Na 0.308 0.652 0.163
80 La 0.993 0.004 0.645
81 O 0.631 0.504 0.636
82 P 0.644 0.615 0.583
83 Na 0.677 0.318 0.330
84 O 0.496 0.369 0.136
85 O 0.462 0.126 0.921
86 O 0.814 0.960 0.411
87 O 0.347 0.884 0.256
88 O 0.212 0.992 0.591
89 O 0.824 0.787 0.301
90 O 0.873 0.534 0.030
91 O 0.795 0.793 0.587
92 Hf 0.335 0.671 0.518
93 O 0.790 0.997 0.698
94 O 0.965 0.171 0.303
95 O 0.870 0.551 0.422
96 O 0.491 0.120 0.635
97 O 0.780 0.992 0.091
98 O 0.539 0.702 0.970
99 O 0.479 0.195 0.245
100 O 0.453 0.124 0.533
101 O 0.872 0.504 0.136
102 O 0.331 0.460 0.754
103 Na 0.011 0.985 0.997
104 O 0.879 0.325 0.925
105 S 0.052 0.362 0.918
106 O 0.147 0.626 0.078
107 P 0.977 0.282 0.250
108 O 0.206 0.997 0.198

=====

First-principles (PBE-GGA) data for Na4La2Hf2Si3S3O24 after structural relaxation, as listed in the Materials Project.

Output
The calculation puts the energy at -0.5308 Ry/atom.

a b c (Å): 9.356 9.369 23.736
angles (deg): 90.32 89.79 119.83
Fractional positions:
1 O 0.787 0.822 0.191
2 Si 0.960 0.641 0.088
3 Hf 0.019 0.027 0.649
4 La 0.992 0.991 0.351
5 O 0.168 0.196 0.704
6 Hf 0.368 0.678 0.809
7 La 0.647 0.330 0.684
8 O 0.689 0.144 0.030
9 O 0.809 0.794 0.300
10 O 0.478 0.126 0.633
11 Si 0.705 0.996 0.746
12 S 0.355 0.986 0.916
13 O 0.481 0.352 0.753
14 O 0.346 0.467 0.074
15 O 0.676 0.525 0.245
16 O 0.500 0.639 0.869
17 Si 0.292 0.306 0.758
18 O 0.037 0.809 0.701
19 O 0.001 0.769 0.803
20 O 0.004 0.814 0.413
21 Na 0.986 0.343 0.738
22 O 0.148 0.458 0.585
23 O 0.095 0.471 0.866
24 O 0.949 0.134 0.590
25 O 0.182 0.697 0.754
26 O 0.553 0.871 0.075
27 Hf 0.328 0.669 0.314
28 La 0.304 0.645 0.520
29 La 0.656 0.323 0.187
30 Na 0.014 0.987 0.510
31 O 0.831 0.529 0.033
32 Na 0.650 0.982 0.593
33 O 0.603 0.127 0.418
34 O 0.286 0.483 0.760
35 O 0.359 0.481 0.364
36 Na 0.309 0.010 0.421
37 O 0.030 0.211 0.198
38 Si 0.022 0.649 0.414
39 O 0.813 0.805 0.920
40 S 0.690 0.647 0.580
41 O 0.805 0.011 0.803
42 Si 0.626 0.655 0.923
43 O 0.548 0.880 0.469
44 Na 0.668 0.694 0.078
45 O 0.804 0.976 0.691
46 O 0.452 0.301 0.028
47 O 0.462 0.162 0.521
48 Na 0.655 0.349 0.337
49 O 0.122 0.631 0.356
50 O 0.460 0.339 0.129
51 Si 0.291 0.981 0.255
52 O 0.514 0.147 0.920
53 O 0.542 0.660 0.982
54 O 0.884 0.338 0.649
55 O 0.210 0.211 0.410
56 Na 0.323 0.677 0.176
57 O 0.694 0.541 0.532
58 O 0.664 0.560 0.633
59 O 0.876 0.545 0.145
60 O 0.522 0.824 0.754
61 Na 0.312 0.667 0.661
62 Na 0.642 0.310 0.817
63 Na 0.339 0.313 0.899
64 O 0.003 0.221 0.300
65 Si 0.958 0.317 0.591
66 O 0.888 0.346 0.242
67 O 0.688 0.160 0.746
68 O 0.181 0.027 0.589
69 O 0.783 0.011 0.408
70 Hf 0.682 0.339 0.488
71 O 0.360 0.867 0.574
72 S 0.356 0.379 0.413
73 Na 0.981 0.647 0.253
74 O 0.123 0.456 0.967
75 O 0.849 0.805 0.581
76 O 0.146 0.677 0.081
77 O 0.849 0.042 0.081
78 O 0.666 0.112 0.132
79 O 0.223 0.008 0.313
80 O 0.887 0.533 0.744
81 O 0.183 0.471 0.250
82 O 0.219 0.024 0.912
83 O 0.478 0.122 0.244
84 S 0.690 0.046 0.080
85 La 0.324 0.676 0.017
86 S 0.024 0.704 0.749
87 O 0.157 0.961 0.202
88 Si 0.687 0.704 0.249
89 O 0.626 0.473 0.926
90 Hf 0.995 0.978 0.155
91 Hf 0.679 0.354 0.982
92 O 0.006 0.207 0.915
93 O 0.362 0.891 0.866
94 Si 0.364 0.043 0.578
95 O 0.958 0.821 0.090
96 Na 0.973 0.966 0.997
97 O 0.329 0.893 0.968
98 O 0.279 0.797 0.256
99 O 0.508 0.364 0.412
100 O 0.842 0.478 0.425
101 S 0.360 0.317 0.079
102 O 0.348 0.455 0.466
103 S 0.611 0.969 0.417
104 S 0.021 0.372 0.917
105 O 0.147 0.687 0.465
106 S 0.024 0.308 0.248
107 O 0.832 0.310 0.537
108 La 0.982 0.981 0.849
109 O 0.502 0.867 0.368
110 O 0.555 0.683 0.571
111 O 0.507 0.691 0.258
112 O 0.853 0.353 0.926
113 O 0.214 0.215 0.817
114 O 0.196 0.166 0.083

=====

First-principles (PBE-GGA) data for Na5La3HfSi3S3O24 after structural relaxation, as listed in the Materials Project.

Output
The calculation puts the energy at -0.5148 Ry/atom.

a b c (Å): 9.555 9.536 23.966
angles (deg): 90.67 89.90 119.80
Fractional positions:
1 Na 0.655 0.015 0.260
2 La 0.332 0.674 0.017
3 O 0.382 0.463 0.369
4 Hf 0.672 0.344 0.484
5 Na 0.994 0.962 0.502
6 Na 0.998 0.618 0.247
7 S 0.307 0.996 0.249
8 Na 0.681 0.004 0.911
9 Si 0.345 0.971 0.916
10 S 0.695 0.700 0.251
11 O 0.313 0.492 0.763
12 O 0.368 0.890 0.577
13 S 0.350 0.362 0.420
14 O 0.876 0.335 0.630
15 O 0.453 0.119 0.634
16 Na 0.984 0.693 0.922
17 La 0.665 0.342 0.685
18 Na 0.362 0.011 0.763
19 O 0.076 0.618 0.358
20 O 0.972 0.809 0.075
21 O 0.215 0.033 0.576
22 O 0.877 0.537 0.747
23 O 0.113 0.479 0.868
24 O 0.546 0.695 0.969
25 O 0.950 0.169 0.575
26 O 0.209 0.200 0.413
27 O 0.522 0.145 0.925
28 O 0.307 0.852 0.968
29 O 0.977 0.809 0.416
30 Si 0.641 0.984 0.417
31 S 0.022 0.378 0.917
32 O 0.990 0.218 0.313
33 La 0.319 0.662 0.325
34 O 0.829 0.017 0.415
35 O 0.201 0.232 0.694
36 Si 0.012 0.657 0.417
37 O 0.371 0.875 0.860
38 O 0.229 0.007 0.301
39 S 0.376 0.049 0.580
40 Hf 0.359 0.675 0.819
41 O 0.669 0.521 0.529
42 La 0.011 0.018 0.849
43 Na 0.280 0.621 0.160
44 La 0.002 0.003 0.141
45 Si 0.682 0.993 0.754
46 O 0.168 0.689 0.762
47 O 0.045 0.805 0.706
48 Si 0.000 0.306 0.252
49 O 0.556 0.852 0.468
50 S 0.018 0.699 0.755
51 O 0.359 0.474 0.077
52 Na 0.009 0.972 0.997
53 La 0.001 0.005 0.351
54 O 0.186 0.989 0.910
55 O 0.544 0.908 0.358
56 O 0.863 0.379 0.920
57 O 0.537 0.695 0.252
58 Si 0.960 0.631 0.081
59 O 0.830 0.491 0.428
60 O 0.765 0.961 0.697
61 O 0.657 0.163 0.430
62 Na 0.628 0.643 0.746
63 O 0.988 0.771 0.805
64 O 0.511 0.663 0.582
65 La 0.998 0.005 0.654
66 O 0.666 0.144 0.032
67 O 0.854 0.327 0.529
68 O 0.786 0.773 0.303
69 O 0.837 0.508 0.029
70 O 0.000 0.192 0.200
71 O 0.208 0.985 0.200
72 O 0.497 0.347 0.428
73 O 0.481 0.153 0.534
74 Si 0.306 0.316 0.751
75 O 0.117 0.463 0.575
76 O 0.532 0.880 0.078
77 O 0.135 0.641 0.081
78 O 0.786 0.011 0.810
79 O 0.788 0.800 0.203
80 O 0.497 0.360 0.748
81 La 0.334 0.672 0.516
82 Na 0.672 0.315 0.336
83 Na 0.701 0.690 0.430
84 O 0.819 0.815 0.912
85 O 0.156 0.493 0.250
86 O 0.522 0.645 0.860
87 O 0.980 0.207 0.911
88 O 0.231 0.183 0.800
89 O 0.825 0.039 0.074
90 O 0.215 0.180 0.072
91 O 0.133 0.671 0.467
92 Si 0.672 0.639 0.583
93 O 0.503 0.818 0.759
94 S 0.952 0.326 0.578
95 Na 0.953 0.305 0.410
96 O 0.476 0.327 0.029
97 O 0.881 0.556 0.142
98 La 0.680 0.343 0.178
99 Hf 0.663 0.346 0.979
100 O 0.452 0.327 0.131
101 O 0.674 0.535 0.247
102 S 0.375 0.328 0.078
103 O 0.833 0.822 0.578
104 O 0.830 0.317 0.251
105 Na 0.667 0.945 0.583
106 O 0.473 0.137 0.247
107 Na 0.637 0.311 0.833
108 O 0.648 0.495 0.924
109 Na 0.339 0.627 0.672
110 O 0.323 0.440 0.468
111 O 0.113 0.444 0.969
112 O 0.667 0.117 0.133
113 Si 0.634 0.663 0.917
114 O 0.319 0.845 0.250
115 S 0.672 0.045 0.078
116 O 0.673 0.556 0.642
117 O 0.639 0.138 0.749

=====

Number 1: formation energy -3.180 eV/atom. Number 2: formation energy -2.958 eV/atom. Number 3: formation energy -2.853 eV/atom. Number 4: formation energy -2.841 eV/atom.